Below is a relaxed structure of Re3Mo2, with properties calculated at the PBE level.

a = 9.6190 Å, b = 9.6190 Å, c = 5.0576 Å
α = 90.00°, β = 90.00°, γ = 90.03°
With the nearest neighbours (Å) after each atom.
Fractional coordinates of all 30 atoms:
Re: 0.0999 0.0999 0.4994  4 Mo 2.64-2.88, 1 Re 2.72
Re: 0.9001 0.9001 0.4994  4 Mo 2.64-2.88, 1 Re 2.72
Re: 0.5996 0.4004 0.0016  4 Mo 2.64-2.88, 1 Re 2.71
Re: 0.4004 0.5996 0.0016  4 Mo 2.64-2.88, 1 Re 2.71
Re: 0.7624 0.4324 0.5009  6 Mo 2.61-2.83, 4 Re 2.65-2.83
Re: 0.2376 0.5676 0.5009  6 Mo 2.61-2.83, 4 Re 2.65-2.83
Re: 0.2619 0.0666 0.9986  6 Mo 2.60-2.77, 4 Re 2.66-2.82
Re: 0.7381 0.9334 0.9986  6 Mo 2.60-2.77, 4 Re 2.66-2.82
Re: 0.5676 0.2376 0.5009  6 Mo 2.61-2.83, 4 Re 2.65-2.83
Re: 0.4324 0.7624 0.5009  6 Mo 2.61-2.83, 4 Re 2.65-2.83
Re: 0.9334 0.7381 0.9986  6 Mo 2.60-2.77, 4 Re 2.66-2.82
Re: 0.0666 0.2619 0.9986  6 Mo 2.60-2.77, 4 Re 2.66-2.82
Re: 0.8172 0.1828 0.7489  6 Re 2.52-2.82, 1 Mo 2.79
Re: 0.1828 0.8172 0.7489  6 Re 2.52-2.82, 1 Mo 2.79
Re: 0.6834 0.6834 0.7498  3 Mo 2.52-2.78, 2 Re 2.76
Re: 0.3166 0.3166 0.7498  3 Mo 2.52-2.78, 2 Re 2.76
Re: 0.1825 0.8175 0.2511  4 Re 2.52-2.77, 1 Mo 2.79
Re: 0.8175 0.1825 0.2511  4 Re 2.52-2.77, 1 Mo 2.79
Mo: 0.0364 0.3668 0.4996  5 Re 2.64-2.74, 1 Mo 2.66
Mo: 0.9636 0.6332 0.4996  5 Re 2.64-2.74, 1 Mo 2.66
Mo: 0.5377 0.1327 0.0000  5 Re 2.64-2.74, 1 Mo 2.65
Mo: 0.4623 0.8673 0.0000  5 Re 2.64-2.74, 1 Mo 2.65
Mo: 0.6332 0.9636 0.4996  5 Re 2.64-2.74, 1 Mo 2.66
Mo: 0.3668 0.0364 0.4996  5 Re 2.64-2.74, 1 Mo 2.66
Mo: 0.8673 0.4623 0.0000  5 Re 2.64-2.74, 1 Mo 2.65
Mo: 0.1327 0.5377 0.0000  5 Re 2.64-2.74, 1 Mo 2.65
Mo: 0.5000 0.5000 0.5051  10 Re 2.61-2.88, 2 Mo 2.81
Mo: 0.0000 0.0000 0.0005  12 Re 2.60-2.88
Mo: 0.3170 0.3170 0.2482  4 Re 2.52-2.77, 1 Mo 2.81
Mo: 0.6830 0.6830 0.2482  4 Re 2.52-2.77, 1 Mo 2.81

Output
For the total magnetization, the calculation gives 0.00 μB per formula unit. Its energy of formation from the pure elements is 0.0670 eV/atom. The calculation puts the total energy at -11.738 eV per atom.